! CaMg14Mn PBE relaxed; values from VASP
&SYSTEM
  ibrav = 0, nat = 16, ntyp = 3
/
ATOMIC_SPECIES
Ca 40.08 Ca.upf
Mg 24.30 Mg.upf
Mn 54.94 Mn.upf
CELL_PARAMETERS angstrom
6.423 0.000 0.000
-3.212 5.563 0.000
0.000 0.000 10.341
ATOMIC_POSITIONS crystal
Ca 0.000 0.000 0.000
Mg 0.008 0.504 0.000
Mg 0.166 0.332 0.261
Mg 0.166 0.332 0.739
Mg 0.166 0.834 0.261
Mg 0.166 0.834 0.739
Mg 0.496 0.504 0.000
Mg 0.496 0.992 0.000
Mg 0.500 0.001 0.500
Mg 0.500 0.500 0.500
Mg 0.667 0.333 0.246
Mg 0.667 0.333 0.754
Mg 0.668 0.834 0.261
Mg 0.668 0.834 0.739
Mg 0.999 0.500 0.500
Mn 0.000 0.000 0.500
! Distance to the lowest polymorph of the same formula = 0.003 eV per atom
! Total magnetization = 4.57 μB per cell
! DFT formation energy = 0.07 eV per atom

=====

! DyPPd PBE relaxed; values from VASP
&SYSTEM
  ibrav = 0, nat = 12, ntyp = 3
/
ATOMIC_SPECIES
Dy 162.50 Dy.upf
P 30.97 P.upf
Pd 106.42 Pd.upf
CELL_PARAMETERS angstrom
6.887 0.000 0.000
0.000 4.030 0.000
0.000 0.000 7.755
ATOMIC_POSITIONS crystal
Dy 0.026 0.250 0.186
Dy 0.474 0.750 0.686
Dy 0.526 0.250 0.314
Dy 0.974 0.750 0.814
P 0.243 0.750 0.377
P 0.257 0.250 0.877
P 0.743 0.750 0.123
P 0.757 0.250 0.623
Pd 0.148 0.250 0.562
Pd 0.352 0.750 0.062
Pd 0.648 0.250 0.938
Pd 0.852 0.750 0.438
! DFT formation energy = -1.27 eV per atom

=====

! Cr2B3W3 PBE relaxed; values from VASP
&SYSTEM
  ibrav = 0, nat = 16, ntyp = 3
/
ATOMIC_SPECIES
Cr 52.00 Cr.upf
B 10.81 B.upf
W 183.84 W.upf
CELL_PARAMETERS angstrom
-2.888 2.888 5.288
2.888 -2.888 5.288
2.888 2.888 -5.288
ATOMIC_POSITIONS crystal
Cr 0.162 0.662 0.825
Cr 0.338 0.162 0.500
Cr 0.662 0.838 0.500
Cr 0.838 0.338 0.175
B 0.022 0.754 0.500
B 0.254 0.522 0.500
B 0.403 0.403 0.000
B 0.522 0.022 0.268
B 0.754 0.254 0.732
B 0.903 0.903 0.000
W 0.122 0.622 0.158
W 0.130 0.130 0.000
W 0.464 0.964 0.842
W 0.622 0.464 0.500
W 0.630 0.630 0.000
W 0.964 0.122 0.500
! Total magnetization = 0.01 μB per cell
! DFT formation energy = -0.27 eV per atom

=====

! InPb PBE relaxed; values from VASP
&SYSTEM
  ibrav = 0, nat = 2, ntyp = 2
/
ATOMIC_SPECIES
In 114.82 In.upf
Pb 207.20 Pb.upf
CELL_PARAMETERS angstrom
2.976 -1.713 0.000
2.976 1.713 0.000
-0.822 0.000 5.897
ATOMIC_POSITIONS crystal
In 0.000 0.000 0.000
Pb 0.336 0.336 0.503
! DFT formation energy = 0.04 eV per atom